Computed, not measured: a relaxed Ca10Al6Si13N30 crystal at the PBE level of DFT.

Summary:
- E: -7.371 eV per atom
- Spin magnetization: 0.00 μB/atom

Cell: 5.0671 5.6554 24.6258 Å, 95.22 90.31 90.00°
With the nearest neighbours (Å) after each atom.
Fractional coordinates of all 59 atoms:
N 0.6422 0.3563 0.8966  2 Si 1.69-1.71
N 0.1776 0.0806 0.9180  2 Si 1.66-1.67
N 0.0394 0.0941 0.7914  1 Si 1.65
N 0.1211 0.6761 0.1107  3 Si 1.80-1.85
N 0.6199 0.9014 0.0851  2 Si 1.73-1.77, 1 Al 1.92
N 0.1030 0.9678 0.6778  2 Si 1.76-1.81, 1 Al 1.91
N 0.1390 0.8665 0.5167  2 Si 1.77-1.79, 1 Al 1.90
N 0.5097 0.6136 0.8035  2 Si 1.73-1.79
N 0.5082 0.4595 0.4001  2 Al 1.85-1.86
N 0.1162 0.2683 0.3085  2 Si 1.77-1.80, 1 Al 1.93
N 0.6140 0.0969 0.4854  1 Si 1.73, 2 Al 1.88-1.89
N 0.5185 0.0501 0.5978  1 Si 1.73, 1 Al 1.88
N 0.1101 0.7580 0.2844  2 Si 1.78-1.80, 1 Al 1.91
N 0.4940 0.8470 0.1945  1 Si 1.73, 1 Al 1.87
N 0.6341 0.7053 0.6902  2 Si 1.78-1.79, 1 Al 1.91
N 0.0058 0.5568 0.6034  2 Si 1.77-1.78
N 0.1014 0.1631 0.0893  2 Si 1.75-1.78, 1 Al 1.93
N 0.1102 0.3764 0.4913  1 Si 1.74, 2 Al 1.88-1.91
N 0.9908 0.7829 0.0011  2 Si 1.69-1.80
N 0.6347 0.6366 0.5207  2 Si 1.76-1.78, 1 Al 1.91
N 0.6379 0.2402 0.7161  2 Si 1.77-1.82, 1 Al 1.87
N 0.6700 0.8609 0.9081  3 Si 1.80-1.89
N 0.6212 0.4359 0.1178  2 Si 1.77, 1 Al 1.92
N 0.1757 0.6041 0.9010  2 Si 1.70-1.72
N 0.0235 0.9591 0.3959  1 Si 1.74, 1 Al 1.88
N 0.5333 0.2555 0.9993  1 Si 1.74, 1 Al 1.79
N 0.0189 0.3675 0.1978  2 Si 1.77
N 0.1396 0.4774 0.7138  3 Si 1.80-1.92
N 0.6357 0.4984 0.2790  1 Si 1.72, 2 Al 1.85-1.86
N 0.6348 0.0177 0.3137  1 Si 1.74, 2 Al 1.85-1.88
Si 0.9830 0.1841 0.7306  3 N 1.65-1.82
Si 0.9735 0.6786 0.6724  4 N 1.76-1.80
Si 0.9687 0.4721 0.2670  4 N 1.72-1.78
Si 0.9647 0.4070 0.1280  4 N 1.75-1.80
Si 0.0065 0.8401 0.9305  4 N 1.67-1.80
Si 0.4803 0.9193 0.5319  4 N 1.73-1.79
Si 0.9703 0.9987 0.3276  4 N 1.74-1.80
Si 0.4921 0.1447 0.9314  3 N 1.66-1.74
Si 0.9571 0.8838 0.0674  4 N 1.69-1.85
Si 0.4692 0.7175 0.1283  4 N 1.73-1.82
Si 0.4833 0.5150 0.7352  4 N 1.73-1.82
Si 0.9751 0.6073 0.5337  4 N 1.74-1.77
Si 0.4908 0.6000 0.8758  4 N 1.69-1.85
Ca 0.0077 0.5052 0.3988  5 N 2.51-2.58
Ca 0.9827 0.3596 0.9714  2 N 2.20-2.44
Ca 0.4988 0.4847 0.6060  5 N 2.42-2.60
Ca 0.5051 0.8869 0.4002  5 N 2.38-2.66
Ca 0.5474 0.1052 0.8139  4 N 2.42-2.63
Ca 0.4883 0.6943 0.9912  6 N 2.51-2.73
Ca 0.4957 0.2752 0.1997  4 N 2.33-2.47
Ca 0.9993 0.9106 0.1960  5 N 2.46-2.59
Ca 0.0002 0.1208 0.5954  4 N 2.33-2.48
Ca 0.0139 0.6781 0.8111  5 N 2.43-2.64
Al 0.4804 0.3187 0.3296  4 N 1.85-1.93
Al 0.4737 0.3955 0.4724  4 N 1.86-1.91
Al 0.4652 0.1945 0.0678  4 N 1.79-1.93
Al 0.4754 0.7840 0.2675  4 N 1.85-1.91
Al 0.9755 0.0717 0.4696  4 N 1.88-1.90
Al 0.4764 0.9949 0.6716  4 N 1.87-1.91

***

Computed, not measured: a relaxed Ca7Al3Si10N21 crystal at the PBE level of DFT.

Summary:
- E: -7.356 eV per atom
- Spin magnetization: 0.00 μB/atom

Cell: 5.0528 5.6591 34.3868 Å, 94.59 90.13 90.08°
With the nearest neighbours (Å) after each atom.
Fractional coordinates of all 82 atoms:
N 0.5043 0.9261 0.4236  1 Si 1.79, 1 Al 1.81
N 0.0269 0.4330 0.4375  1 Si 1.64
N 0.6182 0.6881 0.6581  2 Si 1.76-1.77, 1 Al 1.90
N 0.6875 0.0596 0.3490  2 Si 1.76-1.78, 1 Al 1.93
N 0.1444 0.3749 0.5168  3 Si 1.76-1.89
N 0.6144 0.8860 0.0606  2 Si 1.75-1.77, 1 Al 1.92
N 0.6627 0.5835 0.3603  1 Si 1.68, 1 Al 1.81
N 0.1045 0.0120 0.7696  2 Si 1.74-1.81, 1 Al 1.89
N 0.6221 0.4607 0.2008  2 Si 1.75-1.78, 1 Al 1.88
N 0.1977 0.8156 0.3513  2 Si 1.71-1.72
N 0.9959 0.7824 0.0011  2 Si 1.70-1.79
N 0.1431 0.5185 0.7942  3 Si 1.79-1.92
N 0.6350 0.7522 0.7786  2 Si 1.77-1.79, 1 Al 1.91
N 0.1142 0.6622 0.0797  3 Si 1.81-1.84
N 0.5320 0.2555 0.9996  1 Si 1.74, 1 Al 1.81
N 0.6418 0.2848 0.7951  2 Si 1.77-1.81, 1 Al 1.86
N 0.0958 0.4213 0.6372  2 Si 1.78-1.79, 1 Al 1.94
N 0.5075 0.1005 0.7117  1 Si 1.71, 1 Al 1.90
N 0.0061 0.3440 0.1418  2 Si 1.75-1.80
N 0.6745 0.8720 0.9346  3 Si 1.80-1.89
N 0.1339 0.2254 0.2174  3 Si 1.77-1.84
N 0.0083 0.0459 0.5735  2 Si 1.71-1.83
N 0.6519 0.6285 0.4983  2 Si 1.73-1.82
N 0.1347 0.8599 0.4974  2 Si 1.74-1.86, 1 Al 1.94
N 0.4895 0.8184 0.1394  1 Si 1.71, 1 Al 1.88
N 0.6263 0.9987 0.2219  2 Si 1.77-1.79, 1 Al 1.86
N 0.0402 0.1317 0.8503  1 Si 1.65
N 0.1199 0.9281 0.6524  3 Si 1.82-1.84
N 0.6148 0.4185 0.0845  2 Si 1.76, 1 Al 1.90
N 0.6180 0.1516 0.6322  2 Si 1.75-1.76, 1 Al 1.91
N 0.5179 0.3958 0.2807  1 Si 1.67
N 0.1779 0.6154 0.9285  2 Si 1.70
N 0.0048 0.6119 0.7160  2 Si 1.74-1.80
N 0.5122 0.5272 0.5731  1 Si 1.77, 1 Al 1.82
N 0.5139 0.6435 0.8594  2 Si 1.72-1.82
N 0.9995 0.9261 0.2819  2 Si 1.67-1.80
N 0.1681 0.2812 0.3485  1 Si 1.65, 1 Al 1.78
N 0.0970 0.1533 0.0636  2 Si 1.76-1.77, 1 Al 1.93
N 0.1766 0.0912 0.9409  2 Si 1.67
N 0.0960 0.7273 0.2030  2 Si 1.76-1.81, 1 Al 1.90
N 0.6451 0.1416 0.5121  2 Si 1.75-1.77
N 0.6427 0.3682 0.9255  2 Si 1.69-1.72
Al 0.4620 0.1836 0.0488  4 N 1.81-1.93
Al 0.4634 0.7523 0.1919  4 N 1.86-1.90
Al 0.4992 0.3346 0.3340  4 N 1.78-1.93
Al 0.4652 0.4502 0.6229  4 N 1.82-1.94
Al 0.4754 0.0395 0.7650  4 N 1.86-1.91
Al 0.4839 0.8932 0.4754  4 N 1.81-1.98
Ca 0.4941 0.8417 0.2902  6 N 2.48-2.66
Ca 0.9908 0.8873 0.1427  5 N 2.39-2.59
Ca 0.9918 0.3577 0.9832  3 N 2.22-2.47
Ca 0.0161 0.9986 0.4134  4 N 2.48-2.65
Ca 0.4847 0.2455 0.1436  4 N 2.33-2.48
Ca 0.9969 0.6030 0.5710  3 N 2.31-2.50
Ca 0.9839 0.5272 0.3101  3 N 2.20-2.38
Ca 0.5423 0.4132 0.4173  2 N 2.33-2.54
Ca 0.9969 0.1730 0.7123  4 N 2.30-2.51
Ca 0.4970 0.6963 0.9942  6 N 2.51-2.78
Ca 0.5448 0.1340 0.8667  3 N 2.38-2.61
Ca 0.4933 0.9507 0.5653  4 N 2.33-2.56
Ca 0.4934 0.5339 0.7201  5 N 2.38-2.63
Ca 0.0167 0.7153 0.8666  4 N 2.39-2.58
Si 0.9639 0.4414 0.1924  4 N 1.75-1.80
Si 0.4749 0.2796 0.2350  4 N 1.67-1.84
Si 0.4948 0.1545 0.9508  3 N 1.67-1.74
Si 0.9741 0.7257 0.7661  4 N 1.74-1.80
Si 0.5069 0.8405 0.3723  4 N 1.68-1.79
Si 0.9558 0.8735 0.0491  4 N 1.70-1.84
Si 0.4906 0.4180 0.5235  4 N 1.73-1.78
Si 0.0162 0.0343 0.3325  4 N 1.65-1.80
Si 0.4641 0.6989 0.0922  4 N 1.71-1.83
Si 0.4945 0.6163 0.9116  4 N 1.69-1.83
Si 0.9863 0.5685 0.4811  2 N 1.64-1.82
Si 0.9600 0.6613 0.6671  4 N 1.74-1.82
Si 0.9594 0.1377 0.6215  4 N 1.71-1.84
Si 0.9630 0.9701 0.2347  4 N 1.67-1.82
Si 0.9580 0.3908 0.0925  4 N 1.75-1.81
Si 0.9824 0.1030 0.5219  4 N 1.74-1.83
Si 0.4716 0.9720 0.6652  4 N 1.71-1.84
Si 0.0118 0.8482 0.9511  4 N 1.67-1.80
Si 0.4859 0.5553 0.8105  4 N 1.72-1.83
Si 0.9834 0.2271 0.8069  3 N 1.65-1.81

***

Computed, not measured: a relaxed Ca5Al2Si2N8 crystal at the PBE level of DFT.

Summary:
- E: -6.804 eV per atom
- Spin magnetization: 0.00 μB/atom

Cell: 6.1778 9.2950 15.5647 Å, 90.00 90.00 90.00°
With the nearest neighbours (Å) after each atom.
Fractional coordinates of all 68 atoms:
Al 0.5886 0.8548 0.7365  4 N 1.85-1.97
Al 0.5886 0.1452 0.7635  4 N 1.85-1.97
Al 0.9114 0.3548 0.2635  4 N 1.85-1.97
Al 0.4114 0.8548 0.2365  4 N 1.85-1.97
Al 0.9114 0.6452 0.2365  4 N 1.85-1.97
Al 0.0886 0.6452 0.7365  4 N 1.85-1.97
Al 0.4114 0.1452 0.2635  4 N 1.85-1.97
Al 0.0886 0.3548 0.7635  4 N 1.85-1.97
Ca 0.6347 0.5000 0.7500  4 N 2.52-2.67
Ca 0.6260 0.6409 0.0747  4 N 2.40-2.63
Ca 0.3289 0.6982 0.8960  6 N 2.39-2.65
Ca 0.3289 0.3018 0.6040  6 N 2.39-2.65
Ca 0.6260 0.3591 0.4253  4 N 2.40-2.63
Ca 0.8653 0.0000 0.2500  4 N 2.52-2.67
Ca 0.1711 0.8018 0.3960  6 N 2.39-2.65
Ca 0.3740 0.6409 0.5747  4 N 2.40-2.63
Ca 0.6711 0.6982 0.3960  6 N 2.39-2.65
Ca 0.1347 0.0000 0.7500  4 N 2.52-2.67
Ca 0.1711 0.1982 0.1040  6 N 2.39-2.65
Ca 0.1260 0.1409 0.4253  4 N 2.40-2.63
Ca 0.3740 0.3591 0.9253  4 N 2.40-2.63
Ca 0.8289 0.1982 0.6040  6 N 2.39-2.65
Ca 0.8289 0.8018 0.8960  6 N 2.39-2.65
Ca 0.1260 0.8591 0.0747  4 N 2.40-2.63
Ca 0.3653 0.5000 0.2500  4 N 2.52-2.67
Ca 0.6711 0.3018 0.1040  6 N 2.39-2.65
Ca 0.8740 0.8591 0.5747  4 N 2.40-2.63
Ca 0.8740 0.1409 0.9253  4 N 2.40-2.63
N 0.3609 0.4530 0.0906  1 Si 1.72
N 0.4864 0.1409 0.9946  2 Si 1.78-1.85
N 0.1346 0.2223 0.2680  2 Al 1.85-1.86
N 0.3654 0.7223 0.7320  2 Al 1.85-1.86
N 0.5721 0.9804 0.8386  1 Si 1.75, 1 Al 1.93
N 0.8654 0.7777 0.7320  2 Al 1.85-1.86
N 0.1391 0.9530 0.9094  1 Si 1.72
N 0.9864 0.3591 0.9946  2 Si 1.78-1.85
N 0.6391 0.4530 0.5906  1 Si 1.72
N 0.0136 0.6409 0.0054  2 Si 1.78-1.85
N 0.4279 0.9804 0.3386  1 Si 1.75, 1 Al 1.93
N 0.9279 0.4804 0.1614  1 Si 1.75, 1 Al 1.93
N 0.6391 0.5470 0.9094  1 Si 1.72
N 0.0136 0.3591 0.4946  2 Si 1.78-1.85
N 0.6346 0.2777 0.2680  2 Al 1.85-1.86
N 0.4279 0.0196 0.1614  1 Si 1.75, 1 Al 1.93
N 0.3609 0.5470 0.4094  1 Si 1.72
N 0.3654 0.2777 0.7680  2 Al 1.85-1.86
N 0.9279 0.5196 0.3386  1 Si 1.75, 1 Al 1.93
N 0.1391 0.0470 0.5906  1 Si 1.72
N 0.0721 0.5196 0.8386  1 Si 1.75, 1 Al 1.93
N 0.1346 0.7777 0.2320  2 Al 1.85-1.86
N 0.4864 0.8591 0.5054  2 Si 1.78-1.85
N 0.8609 0.9530 0.4094  1 Si 1.72
N 0.9864 0.6409 0.5054  2 Si 1.78-1.85
N 0.8609 0.0470 0.0906  1 Si 1.72
N 0.5136 0.1409 0.4946  2 Si 1.78-1.85
N 0.6346 0.7223 0.2320  2 Al 1.85-1.86
N 0.5136 0.8591 0.0054  2 Si 1.78-1.85
N 0.0721 0.4804 0.6614  1 Si 1.75, 1 Al 1.93
N 0.8654 0.2223 0.7680  2 Al 1.85-1.86
N 0.5721 0.0196 0.6614  1 Si 1.75, 1 Al 1.93
Si 0.5947 0.9936 0.4294  4 N 1.72-1.85
Si 0.0947 0.5064 0.4294  4 N 1.72-1.85
Si 0.4053 0.0064 0.5706  4 N 1.72-1.85
Si 0.0947 0.4936 0.0706  4 N 1.72-1.85
Si 0.5947 0.0064 0.0706  4 N 1.72-1.85
Si 0.9053 0.4936 0.5706  4 N 1.72-1.85
Si 0.4053 0.9936 0.9294  4 N 1.72-1.85
Si 0.9053 0.5064 0.9294  4 N 1.72-1.85

***

Computed, not measured: a relaxed SrCaAl2Si2N6 crystal at the PBE level of DFT.

Summary:
- E: -7.275 eV per atom
- Spin magnetization: 0.00 μB/atom

Cell: 5.1450 5.7308 5.7499 Å, 119.89 90.13 90.14°
With the nearest neighbours (Å) after each atom.
Fractional coordinates of all 12 atoms:
Ca 0.4949 0.3036 0.3002  5 N 2.43-2.66
N 0.3805 0.9070 0.3303  1 Si 1.76, 2 Al 1.88-1.89
N 0.3562 0.3580 0.9203  2 Si 1.78-1.80, 1 Al 1.94
N 0.4971 0.7552 0.7728  1 Si 1.75, 1 Al 1.89
N 0.8775 0.1131 0.6702  1 Si 1.74, 2 Al 1.87-1.89
N 0.8536 0.6449 0.1004  2 Si 1.78-1.79, 1 Al 1.92
N 0.9890 0.2327 0.2166  1 Si 1.72, 1 Al 1.86
Al 0.5242 0.0222 0.6714  4 N 1.88-1.94
Al 0.0221 0.9822 0.3300  4 N 1.86-1.92
Sr 0.9981 0.6788 0.6826  5 N 2.60-2.62
Si 0.0169 0.3333 0.9809  4 N 1.72-1.80
Si 0.5197 0.6692 0.0243  4 N 1.75-1.79

***

Computed, not measured: a relaxed Na2Ca17Al12O36 crystal at the PBE level of DFT.

Summary:
- E: -6.817 eV per atom
- Spin magnetization: 0.00 μB/atom

Cell: 10.8715 10.9649 15.3596 Å, 90.00 90.00 89.84°
With the nearest neighbours (Å) after each atom.
Fractional coordinates of all 134 atoms:
Al 0.5046 0.7556 0.6088  4 O 1.76-1.80
Al 0.7114 0.9961 0.6170  4 O 1.75-1.78
Al 0.2093 0.5052 0.6175  4 O 1.73-1.80
Al 0.4996 0.7400 0.8885  4 O 1.75-1.80
Al 0.2094 0.0043 0.8829  4 O 1.74-1.80
Al 0.0011 0.7439 0.6077  4 O 1.76-1.81
Al 0.9976 0.2540 0.3908  4 O 1.76-1.80
Al 0.2868 0.0043 0.3844  4 O 1.75-1.79
Al 0.4954 0.7444 0.1088  4 O 1.76-1.80
Al 0.0011 0.7394 0.3865  4 O 1.76-1.81
Al 0.2886 0.5039 0.1170  4 O 1.75-1.78
Al 0.5004 0.7600 0.3885  4 O 1.75-1.80
Al 0.9977 0.2628 0.6124  4 O 1.76-1.81
Al 0.9989 0.7561 0.1077  4 O 1.76-1.81
Al 0.4956 0.2441 0.3921  4 O 1.76-1.80
Al 0.7132 0.4957 0.8844  4 O 1.75-1.79
Al 0.4991 0.2404 0.6124  4 O 1.75-1.80
Al 0.7906 0.4957 0.3829  4 O 1.74-1.80
Al 0.5044 0.2559 0.8921  4 O 1.76-1.80
Al 0.9989 0.7606 0.8865  4 O 1.76-1.81
Al 0.0024 0.2460 0.8908  4 O 1.76-1.80
Al 0.5009 0.2596 0.1124  4 O 1.75-1.80
Al 0.7907 0.9948 0.1175  4 O 1.73-1.80
Al 0.0023 0.2372 0.1124  4 O 1.76-1.81
O 0.9130 0.6043 0.3682  2 Al 1.79-1.80
O 0.7314 0.5272 0.4855  1 Al 1.74
O 0.2208 0.0140 0.2808  1 Al 1.75
O 0.1291 0.8378 0.1425  1 Al 1.76
O 0.6360 0.8546 0.5996  2 Al 1.78-1.80
O 0.1577 0.6996 0.3758  1 Al 1.76
O 0.1284 0.3367 0.3571  1 Al 1.77
O 0.3640 0.6454 0.0996  2 Al 1.78-1.80
O 0.4314 0.1518 0.1806  1 Al 1.75
O 0.2815 0.5138 0.7195  1 Al 1.76
O 0.7928 0.5287 0.9831  1 Al 1.78
O 0.3699 0.3392 0.8585  1 Al 1.80
O 0.9654 0.7862 0.4966  2 Al 1.81
O 0.4303 0.6521 0.3205  1 Al 1.75
O 0.4698 0.2218 0.0023  2 Al 1.77
O 0.5875 0.1023 0.6256  2 Al 1.78-1.80
O 0.6569 0.8031 0.3726  1 Al 1.78
O 0.3423 0.1986 0.6279  1 Al 1.78
O 0.5686 0.3482 0.6806  1 Al 1.75
O 0.2824 0.0120 0.7814  1 Al 1.75
O 0.9322 0.3558 0.1719  1 Al 1.76
O 0.9695 0.2855 0.0021  2 Al 1.80-1.81
O 0.7185 0.9862 0.2195  1 Al 1.76
O 0.6301 0.1608 0.3585  1 Al 1.80
O 0.0346 0.7138 0.9966  2 Al 1.81
O 0.8423 0.8004 0.8758  1 Al 1.76
O 0.9307 0.8504 0.3206  1 Al 1.76
O 0.8709 0.6622 0.6425  1 Al 1.76
O 0.4304 0.8632 0.1701  1 Al 1.76
O 0.8415 0.3018 0.6248  1 Al 1.76
O 0.2072 0.9713 0.4831  1 Al 1.78
O 0.0305 0.2145 0.5021  2 Al 1.80-1.81
O 0.7327 0.0274 0.0149  1 Al 1.73
O 0.2071 0.4694 0.0193  1 Al 1.78
O 0.3431 0.6969 0.8726  1 Al 1.78
O 0.8649 0.8494 0.1064  2 Al 1.78-1.79
O 0.9337 0.1269 0.3375  1 Al 1.76
O 0.7792 0.4860 0.7808  1 Al 1.75
O 0.2686 0.9728 0.9855  1 Al 1.74
O 0.6577 0.3014 0.1279  1 Al 1.78
O 0.4704 0.7213 0.4986  2 Al 1.77
O 0.2673 0.4726 0.5149  1 Al 1.73
O 0.5696 0.6368 0.6701  1 Al 1.76
O 0.1344 0.1488 0.8935  2 Al 1.78-1.79
O 0.7176 0.4880 0.2814  1 Al 1.75
O 0.8656 0.3512 0.3935  2 Al 1.78-1.79
O 0.1585 0.1982 0.1248  1 Al 1.76
O 0.3641 0.1452 0.4011  2 Al 1.78-1.80
O 0.7801 0.9863 0.7198  1 Al 1.75
O 0.0693 0.6496 0.8206  1 Al 1.76
O 0.0874 0.3957 0.6312  2 Al 1.78-1.80
O 0.5296 0.7787 0.9986  2 Al 1.77
O 0.6359 0.3548 0.9011  2 Al 1.78-1.80
O 0.4100 0.8967 0.3759  2 Al 1.79-1.80
O 0.7929 0.0306 0.5193  1 Al 1.78
O 0.0678 0.1442 0.6719  1 Al 1.76
O 0.3707 0.8392 0.6423  1 Al 1.79
O 0.5900 0.6033 0.8759  2 Al 1.79-1.80
O 0.9396 0.6197 0.1526  1 Al 1.77
O 0.2199 0.5137 0.2198  1 Al 1.75
O 0.4125 0.3977 0.1256  2 Al 1.78-1.80
O 0.5705 0.1369 0.8313  1 Al 1.76
O 0.0604 0.8803 0.6526  1 Al 1.77
O 0.4295 0.3631 0.3313  1 Al 1.76
O 0.0870 0.8957 0.8682  2 Al 1.79-1.80
O 0.5697 0.8479 0.8205  1 Al 1.75
O 0.8716 0.1633 0.8571  1 Al 1.77
O 0.9126 0.1043 0.1312  2 Al 1.78-1.80
O 0.1351 0.6506 0.6064  2 Al 1.78-1.79
O 0.6293 0.6608 0.1423  1 Al 1.79
O 0.0663 0.3731 0.8375  1 Al 1.76
O 0.5302 0.2782 0.5023  2 Al 1.77
Ca 0.7272 0.2453 0.7543  4 O 2.35-2.43
Ca 0.4797 0.4957 0.7587  4 O 2.23-2.46
Ca 0.2256 0.2579 0.7539  5 O 2.40-2.65
Ca 0.2728 0.2547 0.2543  4 O 2.35-2.43
Ca 0.0252 0.4918 0.2600  4 O 2.22-2.40
Ca 0.9980 0.5007 0.0192  5 O 2.30-2.51
Ca 0.2879 0.5124 0.3726  5 O 2.24-2.49
Ca 0.2243 0.5118 0.8666  6 O 2.34-2.47
Ca 0.2343 0.0120 0.6357  6 O 2.30-2.40
Ca 0.9738 0.5071 0.7407  4 O 2.22-2.42
Ca 0.5203 0.0043 0.2587  4 O 2.23-2.46
Ca 0.2894 0.0124 0.1281  5 O 2.24-2.48
Ca 0.7714 0.7455 0.2465  4 O 2.37-2.64
Ca 0.7744 0.2421 0.2539  5 O 2.40-2.65
Ca 0.7412 0.7366 0.0037  5 O 2.35-2.59
Ca 0.0020 0.9993 0.5192  5 O 2.30-2.51
Ca 0.5185 0.5042 0.2437  4 O 2.22-2.45
Ca 0.2583 0.2618 0.9959  5 O 2.34-2.58
Ca 0.7121 0.9876 0.8726  5 O 2.24-2.49
Ca 0.7106 0.4876 0.6281  5 O 2.24-2.48
Ca 0.2507 0.7706 0.0027  4 O 2.24-2.43
Ca 0.4815 0.9958 0.7437  4 O 2.22-2.45
Ca 0.0262 0.9929 0.2407  4 O 2.22-2.42
Ca 0.7417 0.2382 0.4959  5 O 2.34-2.58
Ca 0.2489 0.2701 0.4976  4 O 2.25-2.45
Ca 0.7511 0.2299 0.9976  4 O 2.25-2.45
Ca 0.7657 0.4880 0.1357  6 O 2.30-2.40
Ca 0.7757 0.9882 0.3666  6 O 2.34-2.47
Ca 0.7274 0.7433 0.7471  4 O 2.35-2.42
Ca 0.9748 0.0082 0.7600  4 O 2.22-2.40
Ca 0.2588 0.7634 0.5037  5 O 2.35-2.59
Ca 0.7493 0.7294 0.5027  4 O 2.24-2.43
Ca 0.2286 0.7545 0.7465  4 O 2.37-2.64
Ca 0.2726 0.7567 0.2471  4 O 2.35-2.42
Na 0.0005 0.4994 0.4993  4 O 2.50-2.76
Na 0.9995 0.0006 0.9993  4 O 2.50-2.76
Na 0.4990 0.4998 0.9993  4 O 2.42-2.66
Na 0.5010 0.0002 0.4993  4 O 2.42-2.66